[1]
Li4TiCrO6 | GGA+U | optimized geometry

Output
- Calculated formation energy: -2.60 eV per atom
- Uncorrected energy: -6.66 eV/atom

a b c (Å): 5.0445 5.0558 19.3985
angles (deg): 85.06 86.95 60.55
Closest atoms and distances in Å follow each position.
Space group P-1 (No. 2)
Inequivalent atoms, fractional coordinates:
1 Li 0.0000 0.0000 0.0000 (multiplicity 1)  6 O 2.04-2.20
2 Li 0.0000 0.5000 0.5000 (multiplicity 1)  6 O 2.04-2.20
3 Li 0.0011 0.1268 0.6250 (multiplicity 2)  6 O 2.08-2.13
4 Li 0.0015 0.3768 0.8750 (multiplicity 2)  6 O 2.09-2.13
5 Li 0.0078 0.2489 0.2500 (multiplicity 2)  6 O 2.03-2.23
6 Li 0.3194 0.3315 0.9999 (multiplicity 2)  6 O 2.09-2.27
7 Li 0.3196 0.5897 0.2504 (multiplicity 2)  6 O 2.08-2.23
8 Li 0.3249 0.0900 0.7506 (multiplicity 2)  6 O 2.07-2.20
9 Li 0.3247 0.8439 0.5003 (multiplicity 2)  6 O 2.06-2.24
10 Ti 0.3320 0.4558 0.6247 (multiplicity 2)  6 O 1.94-2.01
11 Ti 0.3323 0.7045 0.8748 (multiplicity 2)  6 O 1.94-2.01
12 Cr 0.3325 0.9555 0.1249 (multiplicity 2)  6 O 1.91-2.01
13 Cr 0.3329 0.2058 0.3748 (multiplicity 2)  6 O 1.91-2.01
14 O 0.0015 0.4598 0.6832 (multiplicity 2)  1 Ti 1.96, 1 Cr 2.01, 4 Li 2.03-2.16
15 O 0.0021 0.7097 0.9332 (multiplicity 2)  1 Ti 1.95, 1 Cr 2.01, 4 Li 2.04-2.16
16 O 0.0063 0.2111 0.4322 (multiplicity 2)  1 Cr 1.93, 1 Ti 2.01, 3 Li 2.04-2.16
17 O 0.0069 0.9609 0.1822 (multiplicity 2)  1 Cr 1.92, 1 Ti 2.01, 3 Li 2.05-2.15
18 O 0.3534 0.1465 0.5682 (multiplicity 2)  1 Ti 1.94, 1 Cr 1.99, 3 Li 2.06-2.16
19 O 0.3535 0.9021 0.3191 (multiplicity 2)  1 Cr 1.91, 1 Ti 2.00, 2 Li 2.07-2.10
20 O 0.3535 0.2468 0.1809 (multiplicity 2)  1 Cr 1.95, 1 Ti 1.97, 3 Li 2.10-2.14
21 O 0.3541 0.4964 0.4312 (multiplicity 2)  1 Cr 1.95, 1 Ti 1.97, 3 Li 2.11-2.17
22 O 0.3546 0.3966 0.8177 (multiplicity 2)  1 Ti 1.94, 1 Cr 2.00, 3 Li 2.08-2.17
23 O 0.3545 0.6524 0.0689 (multiplicity 2)  1 Cr 1.91, 1 Ti 2.00, 2 Li 2.09-2.11
24 O 0.3593 0.0014 0.9309 (multiplicity 2)  1 Cr 1.94, 1 Ti 1.99, 3 Li 2.10-2.15
25 O 0.3597 0.7510 0.6812 (multiplicity 2)  1 Cr 1.94, 1 Ti 1.99, 2 Li 2.11-2.13

---

[2]
Li4TiCrO6 | GGA+U | optimized geometry

Output
- Calculated formation energy: -2.61 eV per atom
- Uncorrected energy: -6.67 eV/atom

a b c (Å): 5.0704 8.7829 9.8064
angles (deg): 98.56 94.79 90.17
Closest atoms and distances in Å follow each position.
Space group P1 (No. 1)
Inequivalent atoms, fractional coordinates:
1 Li 0.0000 0.0000 0.0000 (multiplicity 1)  6 O 2.07-2.29
2 Li 0.0013 0.6734 0.0019 (multiplicity 1)  6 O 2.02-2.22
3 Li 0.1211 0.7974 0.7516 (multiplicity 1)  6 O 2.09-2.13
4 Li 0.2399 0.5914 0.4986 (multiplicity 1)  6 O 2.06-2.26
5 Li 0.2544 0.2517 0.5002 (multiplicity 1)  6 O 2.08-2.21
6 Li 0.2568 0.9199 0.4999 (multiplicity 1)  6 O 2.03-2.27
7 Li 0.3719 0.0459 0.2510 (multiplicity 1)  6 O 2.11-2.15
8 Li 0.4867 0.8411 0.0026 (multiplicity 1)  6 O 2.09-2.23
9 Li 0.5035 0.1706 0.0015 (multiplicity 1)  6 O 2.04-2.22
10 Li 0.5058 0.5041 0.0029 (multiplicity 1)  6 O 2.08-2.21
11 Li 0.6217 0.2952 0.7511 (multiplicity 1)  6 O 2.11-2.14
12 Li 0.7372 0.0908 0.5022 (multiplicity 1)  6 O 2.09-2.22
13 Li 0.7441 0.4235 0.5014 (multiplicity 1)  6 O 2.04-2.21
14 Li 0.7548 0.7537 0.5012 (multiplicity 1)  6 O 2.08-2.24
15 Li 0.8703 0.5478 0.2527 (multiplicity 1)  6 O 2.10-2.13
16 Li 0.9904 0.3426 0.0017 (multiplicity 1)  6 O 2.07-2.23
17 Ti 0.1193 0.1299 0.7479 (multiplicity 1)  6 O 1.95-2.03
18 Ti 0.1282 0.4636 0.7499 (multiplicity 1)  6 O 1.93-2.02
19 Ti 0.6285 0.6331 0.7562 (multiplicity 1)  6 O 1.93-2.02
20 Ti 0.8699 0.8834 0.2487 (multiplicity 1)  6 O 1.94-2.04
21 Cr 0.3691 0.7102 0.2510 (multiplicity 1)  6 O 1.90-2.01
22 Cr 0.3768 0.3752 0.2529 (multiplicity 1)  6 O 1.89-2.00
23 Cr 0.6179 0.9624 0.7516 (multiplicity 1)  6 O 1.90-2.00
24 Cr 0.8765 0.2192 0.2524 (multiplicity 1)  6 O 1.88-2.00
25 O 0.0311 0.0690 0.3637 (multiplicity 1)  1 Cr 1.96, 1 Ti 1.97, 3 Li 2.09-2.18
26 O 0.0635 0.3841 0.3635 (multiplicity 1)  2 Cr 1.88-1.99, 1 Li 2.08
27 O 0.0775 0.7438 0.3658 (multiplicity 1)  1 Cr 1.93, 3 Li 2.03-2.13, 1 Ti 2.04
28 O 0.1728 0.8504 0.1352 (multiplicity 1)  1 Ti 1.97, 1 Cr 2.01, 4 Li 2.02-2.14
29 O 0.1812 0.2133 0.1390 (multiplicity 1)  2 Cr 1.89-1.97, 1 Li 2.07
30 O 0.2153 0.5304 0.1421 (multiplicity 1)  2 Cr 1.90-2.00, 1 Li 2.08
31 O 0.2829 0.3159 0.8651 (multiplicity 1)  2 Ti 1.97-1.99, 2 Li 2.07-2.12
32 O 0.3186 0.6384 0.8652 (multiplicity 1)  2 Ti 1.96-1.97, 4 Li 2.09-2.19
33 O 0.3285 0.9932 0.8656 (multiplicity 1)  1 Cr 1.91, 1 Ti 2.03, 3 Li 2.04-2.14
34 O 0.4221 0.1011 0.6350 (multiplicity 1)  1 Ti 1.96, 1 Cr 2.00, 4 Li 2.04-2.14
35 O 0.4244 0.4575 0.6375 (multiplicity 1)  2 Ti 1.93-2.01, 2 Li 2.09-2.14
36 O 0.4617 0.7841 0.6402 (multiplicity 1)  1 Cr 1.90, 1 Ti 2.02, 2 Li 2.09-2.11
37 O 0.5327 0.5612 0.3634 (multiplicity 1)  2 Cr 1.95-1.97, 3 Li 2.06-2.17
38 O 0.5646 0.2479 0.3657 (multiplicity 1)  2 Cr 1.89-2.00, 1 Li 2.04
39 O 0.5667 0.8846 0.3635 (multiplicity 1)  1 Cr 1.97, 1 Ti 1.98, 3 Li 2.08-2.14
40 O 0.6725 0.7055 0.1397 (multiplicity 1)  1 Cr 1.96, 1 Ti 1.98, 3 Li 2.09-2.18
41 O 0.6828 0.3459 0.1379 (multiplicity 1)  2 Cr 1.91-1.99, 3 Li 2.04-2.13
42 O 0.7118 0.0317 0.1392 (multiplicity 1)  1 Ti 1.94, 1 Cr 1.98, 3 Li 2.07-2.16
43 O 0.7890 0.8151 0.8660 (multiplicity 1)  1 Ti 1.93, 1 Cr 1.99, 3 Li 2.09-2.15
44 O 0.8168 0.1353 0.8632 (multiplicity 1)  1 Cr 1.96, 1 Ti 1.98, 3 Li 2.09-2.17
45 O 0.8188 0.4953 0.8679 (multiplicity 1)  2 Ti 1.95-2.02, 4 Li 2.05-2.15
46 O 0.9213 0.9547 0.6399 (multiplicity 1)  1 Ti 1.96, 1 Cr 1.96, 3 Li 2.10-2.18
47 O 0.9246 0.5998 0.6357 (multiplicity 1)  2 Ti 1.98-1.99, 4 Li 2.04-2.17
48 O 0.9591 0.2777 0.6372 (multiplicity 1)  2 Ti 1.95-1.98, 2 Li 2.08-2.11